GdErIn2 after structural relaxation, computed with GGA-PBE.

Volume   27.4 Å³/atom
Total energy   -6.492 eV per atom
Space-group type   Fm-3m (225)
Energy of formation   -0.455 eV/atom

a = 5.372 Å, b = 5.372 Å, c = 5.372 Å
α = 60.00°, β = 60.00°, γ = 60.00°
Positions (direct):
Gd 0.000 0.000 0.000
Er 0.500 0.500 0.500
In 0.250 0.250 0.250
In 0.750 0.750 0.750